Below is an optimized crystal structure of IrI3, with properties calculated at the PBE-GGA level.

```
data_IrI3
_chemical_formula_sum 'Ir4 I12'
_space_group_name_H-M_alt 'C 1 2/m 1'
_space_group_IT_number 12
_cell_length_a 6.956
_cell_length_b 12.040
_cell_length_c 7.473
_cell_angle_alpha 90.00
_cell_angle_beta 106.61
_cell_angle_gamma 90.00
loop_
_space_group_symop_operation_xyz
'x,y,z'
'-x,-y,-z'
'-x,y,-z'
'x,-y,z'
'x+1/2,y+1/2,z'
'-x+1/2,-y+1/2,-z'
'-x+1/2,y+1/2,-z'
'x+1/2,-y+1/2,z'
loop_
_atom_site_label
_atom_site_fract_x
_atom_site_fract_y
_atom_site_fract_z
Ir1 0.000 0.167 0.000
I1 0.208 0.000 0.208
I2 0.242 0.322 0.208
```

## Properties
ρ	6.35	g cm⁻³
calculated formation energy	-1.764	eV per formula unit

Below is an optimized crystal structure of TeWCl9, with properties calculated at the PBE-GGA level.

```
data_TeWCl9
_chemical_formula_sum 'Te2 W2 Cl18'
_space_group_name_H-M_alt 'P -1'
_space_group_IT_number 2
_cell_length_a 6.578
_cell_length_b 9.521
_cell_length_c 11.564
_cell_angle_alpha 72.91
_cell_angle_beta 74.14
_cell_angle_gamma 88.85
loop_
_space_group_symop_operation_xyz
'x,y,z'
'-x,-y,-z'
loop_
_atom_site_label
_atom_site_fract_x
_atom_site_fract_y
_atom_site_fract_z
Te1 0.128 0.165 0.165
W1 0.432 0.238 0.709
Cl1 0.091 0.107 0.828
Cl2 0.091 0.865 0.632
Cl3 0.108 0.700 0.937
Cl4 0.236 0.651 0.391
Cl5 0.286 0.454 0.721
Cl6 0.311 0.376 0.163
Cl7 0.349 0.253 0.526
Cl8 0.431 0.000 0.296
Cl9 0.499 0.195 0.909
```

## Properties
ρ	3.15	g cm⁻³
calculated formation energy	-13.345	eV per formula unit

Below is an optimized crystal structure of Mg2AgRh, with properties calculated at the PBE-GGA level.

```
data_Mg2AgRh
_chemical_formula_sum 'Mg8 Ag4 Rh4'
_space_group_name_H-M_alt 'F m -3 m'
_space_group_IT_number 225
_space_group_name_Hall '-F 4 2 3'
_cell_length_a 6.431
_cell_length_b 6.431
_cell_length_c 6.431
_cell_angle_alpha 90.00
_cell_angle_beta 90.00
_cell_angle_gamma 90.00
loop_
_atom_site_label
_atom_site_fract_x
_atom_site_fract_y
_atom_site_fract_z
Mg1 0.250 0.250 0.250
Ag1 0.000 0.000 0.000
Rh1 0.000 0.000 0.500
```

## Properties
ρ	6.48	g cm⁻³
calculated formation energy	-1.522	eV per formula unit